# 1
First-principles (r²SCAN) data for an optimized crystal structure of YSeO3F, as listed in Materials Project.

```
YSeO3F
1.0
7.005 0.000 0.000
0.000 4.384 0.005
0.000 0.705 6.514
Y Se O F
2 2 6 2
direct
0.250 0.542 0.367
0.750 0.458 0.633
0.750 0.683 0.145
0.250 0.317 0.855
0.250 0.584 0.019
0.750 0.416 0.981
0.574 0.559 0.319
0.074 0.441 0.681
0.426 0.441 0.681
0.926 0.559 0.319
0.250 0.042 0.357
0.750 0.958 0.643
```

ΔH_f (0 K)	-2.5875	eV per atom
mass density	3.900	g cm⁻³
symmetry	P2_1/m (11)
DFT total energy	-11.8656	eV per atom



# 2
First-principles (r²SCAN) data for an optimized crystal structure of SmSiRu, as listed in Materials Project.

```
SmSiRu
1.0
4.221 0.000 0.000
0.000 4.221 0.000
0.000 0.000 6.740
Sm Si Ru
2 2 2
direct
0.250 0.250 0.681
0.750 0.750 0.319
0.250 0.250 0.179
0.750 0.750 0.821
0.750 0.250 0.000
0.250 0.750 0.000
```

ΔH_f (0 K)	-0.8532	eV per atom
mass density	7.730	g cm⁻³
symmetry	P4/nmm (129)
DFT total energy	-22.1636	eV per atom



Copy entry 1 word for word.
First-principles (r²SCAN) data for an optimized crystal structure of YSeO3F, as listed in Materials Project.

```
YSeO3F
1.0
7.005 0.000 0.000
0.000 4.384 0.005
0.000 0.705 6.514
Y Se O F
2 2 6 2
direct
0.250 0.542 0.367
0.750 0.458 0.633
0.750 0.683 0.145
0.250 0.317 0.855
0.250 0.584 0.019
0.750 0.416 0.981
0.574 0.559 0.319
0.074 0.441 0.681
0.426 0.441 0.681
0.926 0.559 0.319
0.250 0.042 0.357
0.750 0.958 0.643
```

ΔH_f (0 K)	-2.5875	eV per atom
mass density	3.900	g cm⁻³
symmetry	P2_1/m (11)
DFT total energy	-11.8656	eV per atom



Q: DFT total energy of number 1 (YSeO3F)?
A: -11.8656 eV per atom



Copy entry 2 word for word.
First-principles (r²SCAN) data for an optimized crystal structure of SmSiRu, as listed in Materials Project.

```
SmSiRu
1.0
4.221 0.000 0.000
0.000 4.221 0.000
0.000 0.000 6.740
Sm Si Ru
2 2 2
direct
0.250 0.250 0.681
0.750 0.750 0.319
0.250 0.250 0.179
0.750 0.750 0.821
0.750 0.250 0.000
0.250 0.750 0.000
```

ΔH_f (0 K)	-0.8532	eV per atom
mass density	7.730	g cm⁻³
symmetry	P4/nmm (129)
DFT total energy	-22.1636	eV per atom



What did the first record say?
First-principles (r²SCAN) data for an optimized crystal structure of YSeO3F, as listed in Materials Project.

```
YSeO3F
1.0
7.005 0.000 0.000
0.000 4.384 0.005
0.000 0.705 6.514
Y Se O F
2 2 6 2
direct
0.250 0.542 0.367
0.750 0.458 0.633
0.750 0.683 0.145
0.250 0.317 0.855
0.250 0.584 0.019
0.750 0.416 0.981
0.574 0.559 0.319
0.074 0.441 0.681
0.426 0.441 0.681
0.926 0.559 0.319
0.250 0.042 0.357
0.750 0.958 0.643
```

ΔH_f (0 K)	-2.5875	eV per atom
mass density	3.900	g cm⁻³
symmetry	P2_1/m (11)
DFT total energy	-11.8656	eV per atom